Computed, not measured: a relaxed structure of Cr23C6 at the PBE level of DFT.

a = 7.4616 Å, b = 7.4616 Å, c = 7.4616 Å
α = 60.00°, β = 60.00°, γ = 60.00°
Last column: nearest neighbours and their distance in Å.
Positions (direct):
Cr 0.3811 0.8566 0.3811  3 C 2.09
Cr 0.3395 0.0000 0.6605  2 C 2.12
Cr 0.8566 0.3811 0.3811  3 C 2.09
Cr 0.0000 0.0000 0.3395  2 C 2.12
Cr 0.6605 0.0000 0.3395  2 C 2.12
Cr 0.0000 0.0000 0.6605  2 C 2.12
Cr 0.3395 0.6605 0.0000  2 C 2.12
Cr 0.0000 0.0000 0.0000  12 Cr 2.53
Cr 0.6189 0.1434 0.6189  3 C 2.09
Cr 0.6189 0.6189 0.1434  3 C 2.09
Cr 0.0000 0.3395 0.6605  2 C 2.12
Cr 0.0000 0.3395 0.0000  2 C 2.12
Cr 0.6189 0.6189 0.6189  3 C 2.09
Cr 0.0000 0.6605 0.3395  2 C 2.12
Cr 0.7500 0.7500 0.7500  4 Cr 2.40
Cr 0.3811 0.3811 0.3811  3 C 2.09
Cr 0.6605 0.3395 0.0000  2 C 2.12
Cr 0.1434 0.6189 0.6189  3 C 2.09
Cr 0.3811 0.3811 0.8566  3 C 2.09
Cr 0.0000 0.6605 0.0000  2 C 2.12
Cr 0.6605 0.0000 0.0000  2 C 2.12
Cr 0.3395 0.0000 0.0000  2 C 2.12
Cr 0.2500 0.2500 0.2500  4 Cr 2.40
C 0.2771 0.2771 0.7229  8 Cr 2.09-2.12
C 0.2771 0.7229 0.2771  8 Cr 2.09-2.12
C 0.7229 0.2771 0.2771  8 Cr 2.09-2.12
C 0.2771 0.7229 0.7229  8 Cr 2.09-2.12
C 0.7229 0.7229 0.2771  8 Cr 2.09-2.12
C 0.7229 0.2771 0.7229  8 Cr 2.09-2.12

Results
**V**: 10.129 Å³ per atom
**Energy relative to the elements**: -71 meV/atom
**Crystal system**: cubic
**Space group**: No. 225

=====

Computed, not measured: a relaxed structure of Cr2C at the PBE level of DFT.

a = 2.8331 Å, b = 2.8331 Å, c = 4.2588 Å
α = 90.00°, β = 90.00°, γ = 120.00°
Last column: nearest neighbours and their distance in Å.
Positions (direct):
Cr 0.3333 0.6667 0.7525  3 C 1.96
Cr 0.6667 0.3333 0.2475  3 C 1.96
C 0.0000 0.0000 0.5000  6 Cr 1.96

Results
**V**: 9.868 Å³ per atom
**Energy relative to the elements**: -37 meV/atom
**Crystal system**: trigonal
**Space group**: No. 164

=====

Computed, not measured: a relaxed structure of Cr7C3 at the PBE level of DFT.

a = 13.9380 Å, b = 13.9380 Å, c = 4.4766 Å
α = 90.00°, β = 90.00°, γ = 120.00°
Last column: nearest neighbours and their distance in Å.
Positions (direct):
Cr 0.2271 0.2716 0.7568  2 C 2.06-2.08
Cr 0.4541 0.7271 0.2527  2 C 2.06
Cr 0.1235 0.5617 0.9480  3 C 2.00-2.02
Cr 0.6247 0.0622 0.9474  3 C 2.01-2.05
Cr 0.2729 0.5459 0.2527  2 C 2.06
Cr 0.5617 0.4383 0.4480  3 C 2.00-2.02
Cr 0.0613 0.9387 0.0561  3 C 2.00-2.04
Cr 0.0613 0.1226 0.0561  3 C 2.00-2.04
Cr 0.8765 0.4383 0.4480  3 C 2.00-2.02
Cr 0.9387 0.8774 0.5561  3 C 2.00-2.04
Cr 0.7729 0.7284 0.2568  2 C 2.06-2.08
Cr 0.2276 0.4551 0.7490  2 C 2.06
Cr 0.2716 0.0445 0.2568  2 C 2.06-2.08
Cr 0.8774 0.9387 0.0561  3 C 2.00-2.04
Cr 0.4383 0.5617 0.9480  3 C 2.00-2.02
Cr 0.6247 0.5626 0.9474  3 C 2.01-2.05
Cr 0.2729 0.7271 0.2527  2 C 2.06
Cr 0.5459 0.2729 0.7528  2 C 2.06
Cr 0.5617 0.1235 0.4480  3 C 2.00-2.02
Cr 0.4374 0.0622 0.9474  3 C 2.01-2.05
Cr 0.4374 0.3753 0.9474  3 C 2.01-2.05
Cr 0.0622 0.4374 0.4474  3 C 2.01-2.05
Cr 0.1668 0.3336 0.2582  3 C 1.98-2.03
Cr 0.7724 0.2276 0.2490  2 C 2.06
Cr 0.9378 0.5626 0.9474  3 C 2.01-2.05
Cr 0.8332 0.1668 0.7582  3 C 1.98-2.03
Cr 0.9555 0.7284 0.2568  2 C 2.06-2.08
Cr 0.3336 0.1668 0.7582  3 C 1.98-2.03
Cr 0.7271 0.2729 0.7528  2 C 2.06
Cr 0.0622 0.6247 0.4474  3 C 2.01-2.05
Cr 0.9378 0.3753 0.9474  3 C 2.01-2.05
Cr 0.3753 0.4374 0.4474  3 C 2.01-2.05
Cr 0.0445 0.2716 0.7568  2 C 2.06-2.08
Cr 0.7271 0.4541 0.7528  2 C 2.06
Cr 0.7284 0.9555 0.7568  2 C 2.06-2.08
Cr 0.2271 0.9555 0.7568  2 C 2.06-2.08
Cr 0.3753 0.9378 0.4474  3 C 2.01-2.05
Cr 0.2276 0.7724 0.7490  2 C 2.06
Cr 0.9387 0.0613 0.5561  3 C 2.00-2.04
Cr 0.6664 0.8332 0.2582  3 C 1.98-2.03
Cr 0.1668 0.8332 0.2582  3 C 1.98-2.03
Cr 0.8332 0.6664 0.7582  3 C 1.98-2.03
Cr 0.3333 0.6667 0.7820  3 C 2.06
Cr 0.4383 0.8765 0.9480  3 C 2.00-2.02
Cr 0.5449 0.7724 0.7490  2 C 2.06
Cr 0.5626 0.9378 0.4474  3 C 2.01-2.05
Cr 0.0445 0.7729 0.7568  2 C 2.06-2.08
Cr 0.1226 0.0613 0.5561  3 C 2.00-2.04
Cr 0.6667 0.3333 0.2820  3 C 2.06
Cr 0.7724 0.5449 0.2490  2 C 2.06
Cr 0.9555 0.2271 0.2568  2 C 2.06-2.08
Cr 0.2716 0.2271 0.2568  2 C 2.06-2.08
Cr 0.7284 0.7729 0.7568  2 C 2.06-2.08
Cr 0.4551 0.2276 0.2490  2 C 2.06
Cr 0.5626 0.6247 0.4474  3 C 2.01-2.05
Cr 0.7729 0.0445 0.2568  2 C 2.06-2.08
C 0.9058 0.0942 0.9656  6 Cr 1.98-2.08
C 0.5946 0.1892 0.0367  6 Cr 2.00-2.06
C 0.0942 0.1884 0.4656  6 Cr 1.98-2.08
C 0.8116 0.9058 0.4656  6 Cr 1.98-2.08
C 0.4054 0.5946 0.5367  6 Cr 2.00-2.06
C 0.5933 0.9058 0.0321  6 Cr 2.01-2.06
C 0.9058 0.3125 0.5321  6 Cr 2.01-2.06
C 0.9058 0.8116 0.9656  6 Cr 1.98-2.08
C 0.1884 0.0942 0.9656  6 Cr 1.98-2.08
C 0.9058 0.5933 0.5321  6 Cr 2.01-2.06
C 0.1892 0.5946 0.5367  6 Cr 2.00-2.06
C 0.4054 0.8108 0.5367  6 Cr 2.00-2.06
C 0.8108 0.4054 0.0367  6 Cr 2.00-2.06
C 0.3125 0.9058 0.0321  6 Cr 2.01-2.06
C 0.6875 0.0942 0.5321  6 Cr 2.01-2.06
C 0.0942 0.9058 0.4656  6 Cr 1.98-2.08
C 0.4067 0.0942 0.5321  6 Cr 2.01-2.06
C 0.6875 0.5933 0.5321  6 Cr 2.01-2.06
C 0.3125 0.4067 0.0321  6 Cr 2.01-2.06
C 0.0942 0.4067 0.0321  6 Cr 2.01-2.06
C 0.4067 0.3125 0.5321  6 Cr 2.01-2.06
C 0.0942 0.6875 0.0321  6 Cr 2.01-2.06
C 0.5946 0.4054 0.0367  6 Cr 2.00-2.06
C 0.5933 0.6875 0.0321  6 Cr 2.01-2.06

Results
**V**: 9.414 Å³ per atom
**Magnetic moment**: 0.064 μB/f.u.
**Energy relative to the elements**: -99 meV/atom
**Crystal system**: hexagonal
**Space group**: No. 186

=====

Computed, not measured: a relaxed structure of Cr3C at the PBE level of DFT.

a = 4.5253 Å, b = 5.1860 Å, c = 6.6588 Å
α = 90.00°, β = 90.00°, γ = 90.00°
Last column: nearest neighbours and their distance in Å.
Positions (direct):
Cr 0.8423 0.8220 0.9404  2 C 2.04-2.06
Cr 0.3423 0.6780 0.4404  2 C 2.04-2.06
Cr 0.1577 0.1780 0.0596  2 C 2.04-2.06
Cr 0.8423 0.8220 0.5596  2 C 2.04-2.06
Cr 0.6577 0.3220 0.5596  2 C 2.04-2.06
Cr 0.1577 0.1780 0.4404  2 C 2.04-2.06
Cr 0.8415 0.5309 0.2500  2 C 2.02-2.05
Cr 0.6577 0.3220 0.9404  2 C 2.04-2.06
Cr 0.3415 0.9691 0.7500  2 C 2.02-2.05
Cr 0.6585 0.0309 0.2500  2 C 2.02-2.05
Cr 0.1585 0.4691 0.7500  2 C 2.02-2.05
Cr 0.3423 0.6780 0.0596  2 C 2.04-2.06
C 0.9321 0.1261 0.7500  6 Cr 2.02-2.06
C 0.0679 0.8739 0.2500  6 Cr 2.02-2.06
C 0.5679 0.6261 0.7500  6 Cr 2.02-2.06
C 0.4321 0.3739 0.2500  6 Cr 2.02-2.06

Results
**V**: 9.767 Å³ per atom
**Energy relative to the elements**: -71 meV/atom
**Crystal system**: orthorhombic
**Space group**: No. 62

=====

Computed, not measured: a relaxed structure of Cr7C3 at the PBE level of DFT.

a = 4.5057 Å, b = 6.9445 Å, c = 12.0381 Å
α = 90.00°, β = 90.00°, γ = 90.00°
Last column: nearest neighbours and their distance in Å.
Positions (direct):
C 0.5317 0.4666 0.1558  6 Cr 2.01-2.07
C 0.4683 0.9666 0.8442  6 Cr 2.01-2.07
C 0.9661 0.2500 0.9371  6 Cr 1.99-2.07
C 0.5317 0.0334 0.1558  6 Cr 2.01-2.07
C 0.5339 0.7500 0.4371  6 Cr 1.99-2.07
C 0.0317 0.0334 0.3442  6 Cr 2.01-2.07
C 0.4683 0.5334 0.8442  6 Cr 2.01-2.07
C 0.0317 0.4666 0.3442  6 Cr 2.01-2.07
C 0.0339 0.7500 0.0629  6 Cr 1.99-2.07
C 0.4661 0.2500 0.5629  6 Cr 1.99-2.07
C 0.9683 0.9666 0.6558  6 Cr 2.01-2.07
C 0.9683 0.5334 0.6558  6 Cr 2.01-2.07
Cr 0.2417 0.7500 0.9168  3 C 1.99-2.02
Cr 0.7417 0.7500 0.5832  3 C 1.99-2.02
Cr 0.4411 0.5649 0.3117  3 C 2.01-2.04
Cr 0.2505 0.0670 0.0216  2 C 2.07
Cr 0.7495 0.9330 0.9784  2 C 2.07
Cr 0.2425 0.2500 0.2041  2 C 2.07
Cr 0.7505 0.0670 0.4784  2 C 2.07
Cr 0.2495 0.5670 0.5216  2 C 2.07
Cr 0.9411 0.9351 0.1883  3 C 2.01-2.04
Cr 0.7575 0.7500 0.7959  2 C 2.07
Cr 0.0589 0.4351 0.8117  3 C 2.01-2.04
Cr 0.7505 0.4330 0.4784  2 C 2.07
Cr 0.0579 0.2500 0.6266  3 C 1.99-2.04
Cr 0.5579 0.2500 0.8734  3 C 1.99-2.04
Cr 0.9421 0.7500 0.3734  3 C 1.99-2.04
Cr 0.0589 0.0649 0.8117  3 C 2.01-2.04
Cr 0.9411 0.5649 0.1883  3 C 2.01-2.04
Cr 0.2583 0.2500 0.4168  3 C 1.99-2.02
Cr 0.2505 0.4330 0.0216  2 C 2.07
Cr 0.5589 0.4351 0.6883  3 C 2.01-2.04
Cr 0.4421 0.7500 0.1266  3 C 1.99-2.04
Cr 0.5589 0.0649 0.6883  3 C 2.01-2.04
Cr 0.4411 0.9351 0.3117  3 C 2.01-2.04
Cr 0.7495 0.5670 0.9784  2 C 2.07
Cr 0.2495 0.9330 0.5216  2 C 2.07
Cr 0.7425 0.2500 0.2959  2 C 2.07
Cr 0.7583 0.2500 0.0832  3 C 1.99-2.02
Cr 0.2575 0.7500 0.7041  2 C 2.07

Results
**V**: 9.417 Å³ per atom
**Energy relative to the elements**: -99 meV/atom
**Crystal system**: orthorhombic
**Space group**: No. 62

=====

Computed, not measured: a relaxed structure of Cs2NaCrC6N6 at the PBE level of DFT.

a = 8.0287 Å, b = 7.6976 Å, c = 13.5081 Å
α = 55.39°, β = 90.00°, γ = 90.00°
Last column: nearest neighbours and their distance in Å.
Positions (direct):
C 0.7101 0.1732 0.4703  1 N 1.18
C 0.0126 0.1258 0.8204  1 N 1.18
C 0.7899 0.1732 0.9703  1 N 1.18
C 0.5126 0.8742 0.6796  1 N 1.18
C 0.9874 0.8742 0.1796  1 N 1.18
C 0.3559 0.2409 0.4749  1 N 1.18
C 0.6441 0.7591 0.5251  1 N 1.18
C 0.4874 0.1258 0.3204  1 N 1.18
C 0.1441 0.2409 0.9749  1 N 1.18
C 0.8559 0.7591 0.0251  1 N 1.18
C 0.2101 0.8268 0.0297  1 N 1.18
C 0.2899 0.8268 0.5297  1 N 1.18
N 0.9780 0.8010 0.2831  1 C 1.18
N 0.7715 0.6213 0.0399  1 C 1.18
N 0.1694 0.7259 0.5477  1 C 1.18
N 0.2285 0.3787 0.9601  1 C 1.18
N 0.2715 0.3787 0.4601  1 C 1.18
N 0.3306 0.7259 0.0477  1 C 1.18
N 0.4780 0.1990 0.2169  1 C 1.18
N 0.7285 0.6213 0.5399  1 C 1.18
N 0.0220 0.1990 0.7169  1 C 1.18
N 0.6694 0.2741 0.9523  1 C 1.18
N 0.5220 0.8010 0.7831  1 C 1.18
N 0.8306 0.2741 0.4523  1 C 1.18
Cs 0.5555 0.7365 0.2497  4 N 3.31-3.49, 3 C 3.59-3.67
Cs 0.9445 0.7365 0.7497  4 N 3.31-3.49, 3 C 3.59-3.67
Cs 0.0555 0.2635 0.2503  4 N 3.31-3.49, 3 C 3.59-3.67
Cs 0.4445 0.2635 0.7503  4 N 3.31-3.49, 3 C 3.59-3.67
Na 0.0000 0.5000 0.5000  6 N 2.50-2.56
Na 0.5000 0.5000 0.0000  6 N 2.50-2.56
Cr 0.0000 0.0000 0.0000  6 C 2.04
Cr 0.5000 0.0000 0.5000  6 C 2.04

Results
**V**: 21.470 Å³ per atom
**Magnetic moment**: 2.998 μB/f.u.
**Energy relative to the elements**: -272 meV/atom
**Crystal system**: monoclinic
**Space group**: No. 14